[1]
Computed, not measured: an optimized crystal structure of Ta4Zn2Si3S6O36 at the PBE-GGA level of DFT.

Unit cell a=15.288 b=8.823 c=22.718 alpha=90.00 beta=90.06 gamma=90.00
Space group Cc (No. 9)
Inequivalent atoms, fractional coordinates:
Ta (0.000, 0.002, 0.000) x4
Ta (0.164, 0.496, 0.333) x4
Ta (0.331, 0.013, 0.169) x4
Ta (0.497, 0.488, 0.716) x4
Zn (0.163, 0.489, 0.048) x4
Zn (0.337, 0.002, 0.375) x4
Si (0.141, 0.148, 0.107) x4
Si (0.333, 0.285, 0.278) x4
Si (0.468, 0.138, 0.777) x4
S (0.018, 0.360, 0.943) x4
S (0.164, 0.215, 0.443) x4
S (0.186, 0.143, 0.775) x4
S (0.306, 0.352, 0.943) x4
S (0.353, 0.357, 0.607) x4
S (0.497, 0.216, 0.107) x4
O (0.006, 0.189, 0.660) x4
O (0.010, 0.183, 0.951) x4
O (0.059, 0.422, 0.995) x4
O (0.068, 0.436, 0.288) x4
O (0.073, 0.378, 0.599) x4
O (0.075, 0.377, 0.890) x4
O (0.078, 0.123, 0.450) x4
O (0.079, 0.097, 0.162) x4
O (0.089, 0.063, 0.050) x4
O (0.095, 0.086, 0.763) x4
O (0.147, 0.314, 0.389) x4
O (0.150, 0.323, 0.101) x4
O (0.175, 0.307, 0.495) x4
O (0.175, 0.312, 0.784) x4
O (0.217, 0.072, 0.828) x4
O (0.234, 0.054, 0.118) x4
O (0.234, 0.108, 0.433) x4
O (0.241, 0.123, 0.722) x4
O (0.246, 0.399, 0.287) x4
O (0.254, 0.386, 0.995) x4
O (0.265, 0.428, 0.889) x4
O (0.268, 0.422, 0.600) x4
O (0.312, 0.180, 0.217) x4
O (0.317, 0.192, 0.934) x4
O (0.346, 0.194, 0.335) x4
O (0.349, 0.190, 0.616) x4
O (0.395, 0.429, 0.951) x4
O (0.396, 0.426, 0.660) x4
O (0.411, 0.387, 0.555) x4
O (0.413, 0.134, 0.835) x4
O (0.413, 0.394, 0.258) x4
O (0.415, 0.121, 0.114) x4
O (0.425, 0.067, 0.717) x4
O (0.430, 0.085, 0.436) x4
O (0.478, 0.313, 0.054) x4
O (0.489, 0.318, 0.762) x4

Calculated values
E_form = -2.4377 eV/atom
E_tot = -0.26572 Ha/atom
crystal system = monoclinic

***

[2]
Computed, not measured: an optimized crystal structure of K6Mo6C5Se8N5 at the PBE-GGA level of DFT.

Unit cell a=11.687 b=11.687 c=9.638 alpha=90.00 beta=90.00 gamma=90.00
Space group I4 (No. 79)
Inequivalent atoms, fractional coordinates:
K (0.000, 0.500, 0.000) x4
K (0.132, 0.774, 0.250) x8
Mo (0.000, 0.000, 0.542) x2
Mo (0.000, 0.000, 0.955) x2
Mo (0.053, 0.846, 0.750) x8
C (0.000, 0.000, 0.316) x2
C (0.106, 0.668, 0.750) x8
Se (0.095, 0.199, 0.558) x8
Se (0.095, 0.199, 0.942) x8
N (0.000, 0.000, 0.192) x2
N (0.070, 0.368, 0.250) x8

Calculated values
E_form = -0.6219 eV/atom
E_tot = -0.25036 Ha/atom
crystal system = tetragonal

***

[3]
Computed, not measured: an optimized crystal structure of Dy4Cu5P7 at the PBE-GGA level of DFT.

Unit cell a=5.277 b=5.277 c=19.260 alpha=90.00 beta=90.00 gamma=90.00
Space group I-42m (No. 121)
Inequivalent atoms, fractional coordinates:
Dy (0.240, 0.240, 0.116) x8
Cu (0.000, 0.000, 0.249) x4
Cu (0.000, 0.000, 0.500) x2
Cu (0.000, 0.500, 0.250) x4
P (0.000, 0.000, 0.000) x2
P (0.000, 0.500, 0.000) x4
P (0.246, 0.246, 0.328) x8

Calculated values
E_form = -0.8105 eV/atom
E_tot = -0.20622 Ha/atom
crystal system = tetragonal

***

[4]
Computed, not measured: an optimized crystal structure of TaAlO4 at the PBE-GGA level of DFT.

Unit cell a=6.537 b=6.537 c=5.968 alpha=90.00 beta=90.00 gamma=90.00
Space group I4_1md (No. 109)
Inequivalent atoms, fractional coordinates:
Ta (0.000, 0.000, 0.000) x4
Al (0.000, 0.000, 0.490) x4
O (0.000, 0.300, 0.491) x8
O (0.000, 0.306, 0.979) x8

Calculated values
maximum piezoelectric response = 1.03 C/m2
E_form = -3.3465 eV/atom
E_tot = -0.32294 Ha/atom
crystal system = tetragonal

***

[5]
Computed, not measured: an optimized crystal structure of Sc2PbS4 at the PBE-GGA level of DFT.

Unit cell a=11.772 b=3.781 c=13.771 alpha=90.00 beta=90.00 gamma=90.00
Space group Pnma (No. 62)
Inequivalent atoms, fractional coordinates:
Sc (0.057, 0.250, 0.111) x4
Sc (0.082, 0.250, 0.597) x4
Pb (0.240, 0.250, 0.329) x4
S (0.031, 0.750, 0.716) x4
S (0.087, 0.250, 0.927) x4
S (0.121, 0.750, 0.472) x4
S (0.203, 0.750, 0.158) x4

Calculated values
E_form = -1.7984 eV/atom
E_tot = -0.22837 Ha/atom
crystal system = orthorhombic

***

[6]
Computed, not measured: an optimized crystal structure of DyMgTl2 at the PBE-GGA level of DFT.

Unit cell a=7.457 b=7.457 c=7.457 alpha=90.00 beta=90.00 gamma=90.00
Space group Fm-3m (No. 225)
Inequivalent atoms, fractional coordinates:
Dy (0.000, 0.000, 0.000) x4
Mg (0.000, 0.000, 0.500) x4
Tl (0.250, 0.250, 0.250) x8

Calculated values
E_form = -0.2062 eV/atom
E_tot = -0.10802 Ha/atom
crystal system = cubic

***

[7]
Computed, not measured: an optimized crystal structure of Ba2LaCl7 at the PBE-GGA level of DFT.

Unit cell a=7.077 b=16.011 c=10.799 alpha=90.00 beta=90.90 gamma=90.00
Space group P2_1/c (No. 14)
Inequivalent atoms, fractional coordinates:
Ba (0.231, 0.062, 0.324) x4
Ba (0.231, 0.721, 0.450) x4
La (0.281, 0.126, 0.783) x4
Cl (0.005, 0.240, 0.305) x4
Cl (0.006, 0.104, 0.580) x4
Cl (0.197, 0.545, 0.287) x4
Cl (0.203, 0.142, 0.037) x4
Cl (0.359, 0.571, 0.623) x4
Cl (0.495, 0.603, 0.934) x4
Cl (0.496, 0.724, 0.206) x4

Calculated values
E_form = -2.9161 eV/atom
energy above the most stable polymorph in this dataset = 0 meV per atom
E_tot = -0.17117 Ha/atom
crystal system = monoclinic